Pr5CoSb2 after structural relaxation, computed with PBE.

Output
calculated volume = 30.529 Å³ per atom
E_form = -5.7 eV/f.u.
symmetry = Pnma

a = 12.9916 Å, b = 8.9606 Å, c = 8.3919 Å
α = 90.00°, β = 90.00°, γ = 90.00°
Positions (direct):
Pr: 0.0022 0.2500 0.0462
Pr: 0.0733 0.5324 0.3290
Pr: 0.0733 0.9676 0.3290
Pr: 0.1878 0.2500 0.6481
Pr: 0.2030 0.7500 0.6686
Pr: 0.2970 0.2500 0.1686
Pr: 0.3122 0.7500 0.1481
Pr: 0.4267 0.0324 0.8290
Pr: 0.4267 0.4676 0.8290
Pr: 0.4978 0.7500 0.5462
Pr: 0.5022 0.2500 0.4538
Pr: 0.5733 0.5324 0.1710
Pr: 0.5733 0.9676 0.1710
Pr: 0.6878 0.2500 0.8519
Pr: 0.7030 0.7500 0.8314
Pr: 0.7970 0.2500 0.3314
Pr: 0.8122 0.7500 0.3519
Pr: 0.9267 0.0324 0.6710
Pr: 0.9267 0.4676 0.6710
Pr: 0.9978 0.7500 0.9538
Co: 0.0072 0.2500 0.4298
Co: 0.4928 0.7500 0.9298
Co: 0.5072 0.2500 0.0702
Co: 0.9928 0.7500 0.5702
Sb: 0.1773 0.0029 0.9509
Sb: 0.1773 0.4971 0.9509
Sb: 0.3227 0.5029 0.4509
Sb: 0.3227 0.9971 0.4509
Sb: 0.6773 0.0029 0.5491
Sb: 0.6773 0.4971 0.5491
Sb: 0.8227 0.5029 0.0491
Sb: 0.8227 0.9971 0.0491